Below is a geometry-optimized MnV2Ru structure, with properties calculated at the PBE-GGA level.

a = 4.1705 Å, b = 4.1705 Å, c = 4.1705 Å
α = 60.00°, β = 60.00°, γ = 60.00°
Element x y z (fractional)
Mn 0.0000 0.0000 0.0000
V 0.2500 0.2500 0.2500
V 0.7500 0.7500 0.7500
Ru 0.5000 0.5000 0.5000

Results
**ΔH_f (0 K)**: -0.254 eV per atom
**Crystal system**: cubic
**V**: 51.3 Å³/f.u.